Material: CeSe2
Method: DFT, PBE
State: optimized geometry

Output
E_form ... -1411.2 meV per atom

a b c (Å): 16.563 16.563 16.563
angles (deg): 90.00 90.00 90.00
Space group I2_13 (No. 199)
Asymmetric unit:
Ce 0.109 0.156 0.723
Se 0.000 0.250 0.437
Se 0.000 0.250 0.644
Se 0.137 0.251 0.854


Material: CaSb2S5
Method: DFT, PBE
State: optimized geometry

Output
E_form ... -748.3 meV per atom

a b c (Å): 15.008 5.830 10.712
angles (deg): 90.00 110.47 90.00
Space group Pc (No. 7)
Asymmetric unit:
Ca 0.000 0.011 0.000
Ca 0.570 0.473 0.037
Sb 0.054 0.390 0.774
Sb 0.294 0.149 0.896
Sb 0.537 0.024 0.776
Sb 0.791 0.438 0.872
S 0.169 0.270 0.996
S 0.172 0.251 0.671
S 0.368 0.001 0.190
S 0.373 0.499 0.436
S 0.568 0.024 0.519
S 0.579 0.439 0.790
S 0.771 0.428 0.150
S 0.791 0.037 0.892
S 0.962 0.043 0.731
S 0.965 0.490 0.474


Material: Na2Nd2PtO6
Method: DFT, PBE
State: optimized geometry

Output
E_form ... -2505.5 meV per atom

a b c (Å): 9.446 9.321 6.680
angles (deg): 90.00 91.38 90.00
Space group C2 (No. 5)
Asymmetric unit:
Na 0.000 0.000 0.000
Na 0.000 0.489 0.500
Na 0.176 0.317 0.140
Nd 0.000 0.624 0.000
Nd 0.000 0.857 0.500
Nd 0.178 0.182 0.648
Pt 0.246 0.999 0.245
O 0.059 0.101 0.317
O 0.071 0.392 0.807
O 0.123 0.818 0.187
O 0.128 0.671 0.675
O 0.244 0.064 0.947
O 0.249 0.432 0.465


Material: Be3N2
Method: DFT, PBE
State: optimized geometry

Output
E_form ... -1189.1 meV per atom
Relative energy among the computed polymorphs ... 0.029 eV per atom

a b c (Å): 2.8484 2.8484 9.7650
angles (deg): 90.00 90.00 120.00
Space group P6_3/mmc (No. 194)
Asymmetric unit:
Be 0.0000 0.0000 0.2500
Be 0.3333 0.6667 0.0783
N 0.0000 0.0000 0.0000
N 0.3333 0.6667 0.2500